(1)
This record from the Materials Project database describes an optimized crystal structure of PrBC. The functional is PBE-GGA.

Calculated values
SG = P2_12_12_1

Unit cell a=8.542 b=8.578 c=12.351 alpha=90.00 beta=90.00 gamma=90.00
Sites, in units of the cell vectors:
Pr  0.950  0.598  0.859
Pr  0.939  0.198  0.367
Pr  0.160  0.991  0.920
Pr  0.245  0.289  0.173
Pr  0.840  0.491  0.580
Pr  0.439  0.302  0.633
Pr  0.255  0.711  0.673
Pr  0.745  0.211  0.827
Pr  0.050  0.098  0.641
Pr  0.061  0.698  0.133
Pr  0.340  0.009  0.420
Pr  0.342  0.408  0.903
Pr  0.755  0.789  0.327
Pr  0.158  0.592  0.403
Pr  0.550  0.402  0.359
Pr  0.842  0.092  0.097
Pr  0.658  0.908  0.597
Pr  0.561  0.802  0.867
Pr  0.660  0.509  0.080
Pr  0.450  0.902  0.141
C  0.525  0.192  0.061
C  0.443  0.111  0.842
C  0.244  0.299  0.381
C  0.646  0.105  0.407
C  0.975  0.808  0.561
C  0.057  0.889  0.342
C  0.355  0.003  0.627
C  0.756  0.799  0.119
C  0.557  0.611  0.658
C  0.943  0.389  0.158
C  0.645  0.503  0.873
C  0.854  0.895  0.907
C  0.145  0.997  0.127
C  0.744  0.201  0.619
C  0.855  0.497  0.373
C  0.146  0.395  0.593
C  0.354  0.605  0.093
C  0.475  0.692  0.439
C  0.256  0.701  0.881
C  0.025  0.308  0.939
B  0.184  0.308  0.492
B  0.480  0.112  0.959
B  0.402  0.026  0.741
B  0.117  0.397  0.713
B  0.020  0.888  0.459
B  0.883  0.897  0.787
B  0.098  0.974  0.241
B  0.938  0.800  0.679
B  0.316  0.692  0.992
B  0.684  0.192  0.508
B  0.617  0.103  0.287
B  0.062  0.300  0.821
B  0.562  0.200  0.179
B  0.902  0.474  0.259
B  0.438  0.700  0.321
B  0.980  0.388  0.041
B  0.520  0.612  0.541
B  0.598  0.526  0.759
B  0.816  0.808  0.008
B  0.383  0.603  0.213

(2)
This record from the Materials Project database describes an optimized crystal structure of Ba2TbSnO6. The functional is PBE-GGA.

Calculated values
SG = Fm-3m
Total energy after the MP2020 corrections = -7.122 eV per atom

Unit cell a=6.121 b=6.121 c=6.121 alpha=60.00 beta=60.00 gamma=60.00
Sites, in units of the cell vectors:
O  0.260  0.740  0.740
O  0.740  0.740  0.260
O  0.260  0.740  0.260
O  0.260  0.260  0.740
O  0.740  0.260  0.740
O  0.740  0.260  0.260
Tb  0.000  0.000  0.000
Ba  0.250  0.250  0.250
Ba  0.750  0.750  0.750
Sn  0.500  0.500  0.500

(3)
This record from the Materials Project database describes an optimized crystal structure of EuGa2As2. The functional is PBE-GGA.

Calculated values
SG = P2/m

Unit cell a=4.097 b=9.578 c=12.469 alpha=95.19 beta=90.00 gamma=90.00
Sites, in units of the cell vectors:
As  0.000  0.760  0.974
As  0.500  0.048  0.759
As  0.500  0.952  0.241
As  0.000  0.738  0.468
As  0.000  0.262  0.532
As  0.000  0.240  0.026
As  0.500  0.447  0.257
As  0.500  0.553  0.743
Ga  0.500  0.602  0.946
Ga  0.000  0.806  0.176
Ga  0.500  0.891  0.437
Ga  0.000  0.395  0.719
Ga  0.500  0.109  0.563
Ga  0.000  0.605  0.281
Ga  0.000  0.194  0.824
Ga  0.500  0.398  0.054
Eu  0.000  0.799  0.724
Eu  0.500  0.500  0.500
Eu  0.000  0.201  0.276
Eu  0.500  0.000  0.000

(4)
This record from the Materials Project database describes an optimized crystal structure of ErRe3O12. The functional is PBE-GGA.

Calculated values
SG = R3c
Total energy after the MP2020 corrections = -8.746 eV per atom

Unit cell a=10.180 b=10.180 c=10.180 alpha=52.16 beta=52.16 gamma=52.16
Sites, in units of the cell vectors:
O  0.046  0.013  0.414
O  0.513  0.546  0.914
O  0.142  0.605  0.087
O  0.105  0.642  0.587
O  0.744  0.100  0.807
O  0.244  0.307  0.600
O  0.414  0.046  0.013
O  0.914  0.513  0.546
O  0.807  0.744  0.100
O  0.307  0.600  0.244
O  0.229  0.893  0.912
O  0.600  0.244  0.307
O  0.412  0.393  0.729
O  0.912  0.229  0.893
O  0.893  0.912  0.229
O  0.087  0.142  0.605
O  0.605  0.087  0.142
O  0.729  0.412  0.393
O  0.642  0.587  0.105
O  0.393  0.729  0.412
O  0.546  0.914  0.513
O  0.100  0.807  0.744
O  0.587  0.105  0.642
O  0.013  0.414  0.046
Re  0.160  0.804  0.541
Re  0.804  0.541  0.160
Re  0.041  0.304  0.660
Re  0.304  0.660  0.041
Re  0.660  0.041  0.304
Re  0.541  0.160  0.804
Er  0.940  0.940  0.940
Er  0.440  0.440  0.440

(5)
This record from the Materials Project database describes an optimized crystal structure of Nd2Cu4Sn5. The functional is PBE-GGA.

Calculated values
SG = I4mm

Unit cell a=4.519 b=4.519 c=12.632 alpha=100.31 beta=100.31 gamma=90.00
Sites, in units of the cell vectors:
Sn  0.532  0.532  0.063
Sn  0.403  0.903  0.806
Sn  0.903  0.403  0.806
Sn  0.285  0.785  0.570
Sn  0.785  0.285  0.570
Cu  0.091  0.591  0.182
Cu  0.591  0.091  0.182
Cu  0.130  0.130  0.260
Cu  0.227  0.227  0.453
Nd  0.999  0.999  0.998
Nd  0.681  0.681  0.362

(6)
This record from the Materials Project database describes an optimized crystal structure of LaMgVS4. The functional is PBE-GGA.

Calculated values
SG = C2/m
Total energy after the MP2020 corrections = -6.220 eV per atom

Unit cell a=7.936 b=7.742 c=7.745 alpha=58.98 beta=59.18 gamma=59.12
Sites, in units of the cell vectors:
S  0.276  0.760  0.761
S  0.274  0.216  0.735
S  0.726  0.784  0.265
S  0.724  0.240  0.239
S  0.297  0.239  0.240
S  0.726  0.265  0.784
S  0.274  0.735  0.216
S  0.703  0.761  0.760
La  0.000  0.500  0.500
La  0.500  0.500  0.500
Mg  0.123  0.126  0.127
Mg  0.877  0.874  0.873
V  0.500  0.500  0.000
V  0.500  0.000  0.500

(7)
This record from the Materials Project database describes an optimized crystal structure of Cs2SnAs2. The functional is PBE-GGA.

Calculated values
SG = Ibam

Unit cell a=9.161 b=9.161 c=9.161 alpha=134.50 beta=128.85 gamma=70.84
Sites, in units of the cell vectors:
Sn  0.500  0.750  0.250
Sn  0.500  0.250  0.750
As  0.426  0.099  0.327
As  0.574  0.901  0.673
As  0.228  0.401  0.827
As  0.772  0.599  0.173
Cs  0.981  0.145  0.836
Cs  0.309  0.645  0.664
Cs  0.019  0.855  0.164
Cs  0.691  0.355  0.336

(8)
This record from the Materials Project database describes an optimized crystal structure of PmTlRh2. The functional is PBE-GGA.

Calculated values
SG = Fm-3m

Unit cell a=4.813 b=4.813 c=4.813 alpha=60.00 beta=60.00 gamma=60.00
Sites, in units of the cell vectors:
Rh  0.250  0.250  0.250
Rh  0.750  0.750  0.750
Pm  0.500  0.500  0.500
Tl  0.000  0.000  0.000

(9)
This record from the Materials Project database describes an optimized crystal structure of RbTbP4O12. The functional is PBE-GGA.

Calculated values
SG = P2_1/c
Total energy after the MP2020 corrections = -7.737 eV per atom

Unit cell a=8.996 b=10.459 c=12.912 alpha=55.48 beta=90.00 gamma=90.00
Sites, in units of the cell vectors:
O  0.712  0.663  0.405
O  0.594  0.632  0.198
O  0.676  0.980  0.755
O  0.415  0.429  0.216
O  0.094  0.368  0.302
O  0.529  0.133  0.330
O  0.471  0.867  0.670
O  0.547  0.539  0.601
O  0.952  0.234  0.096
O  0.258  0.929  0.509
O  0.709  0.221  0.754
O  0.540  0.924  0.176
O  0.029  0.867  0.170
O  0.453  0.461  0.399
O  0.334  0.202  0.482
O  0.548  0.234  0.596
O  0.842  0.345  0.841
O  0.288  0.337  0.595
O  0.824  0.980  0.255
O  0.209  0.779  0.746
O  0.047  0.461  0.899
O  0.291  0.779  0.246
O  0.906  0.632  0.698
O  0.971  0.133  0.830
O  0.242  0.929  0.009
O  0.742  0.071  0.491
O  0.085  0.429  0.716
O  0.048  0.766  0.904
O  0.452  0.766  0.404
O  0.585  0.571  0.784
O  0.834  0.798  0.018
O  0.788  0.663  0.905
O  0.758  0.071  0.991
O  0.460  0.076  0.824
O  0.658  0.345  0.341
O  0.960  0.924  0.676
O  0.158  0.655  0.159
O  0.915  0.571  0.284
O  0.406  0.368  0.802
O  0.324  0.020  0.245
O  0.791  0.221  0.254
O  0.666  0.798  0.518
O  0.176  0.020  0.745
O  0.040  0.076  0.324
O  0.953  0.539  0.101
O  0.166  0.202  0.982
O  0.342  0.655  0.659
O  0.212  0.337  0.095
Rb  0.567  0.265  0.042
Rb  0.433  0.735  0.958
Rb  0.067  0.735  0.458
Rb  0.933  0.265  0.542
P  0.974  0.474  0.778
P  0.408  0.888  0.259
P  0.172  0.824  0.136
P  0.328  0.824  0.636
P  0.592  0.112  0.741
P  0.109  0.301  0.023
P  0.908  0.112  0.241
P  0.672  0.176  0.364
P  0.526  0.474  0.278
P  0.391  0.301  0.523
P  0.609  0.699  0.477
P  0.474  0.526  0.722
P  0.026  0.526  0.222
P  0.828  0.176  0.864
P  0.891  0.699  0.977
P  0.092  0.888  0.759
Tb  0.273  0.184  0.317
Tb  0.773  0.816  0.183
Tb  0.727  0.816  0.683
Tb  0.227  0.184  0.817

(10)
This record from the Materials Project database describes an optimized crystal structure of RbCe3. The functional is PBE-GGA.

Calculated values
SG = I4/mmm

Unit cell a=6.410 b=6.410 c=6.410 alpha=132.01 beta=132.01 gamma=70.21
Sites, in units of the cell vectors:
Rb  0.000  0.000  0.000
Ce  0.250  0.750  0.500
Ce  0.500  0.500  0.000
Ce  0.750  0.250  0.500

(11)
This record from the Materials Project database describes an optimized crystal structure of IrCl3. The functional is PBE-GGA.

Calculated values
SG = Fddd
Total energy after the MP2020 corrections = -4.553 eV per atom

Unit cell a=11.729 b=11.183 c=6.224 alpha=79.14 beta=69.45 gamma=31.41
Sites, in units of the cell vectors:
Cl  0.371  0.806  0.162
Cl  0.162  0.662  0.371
Cl  0.282  0.718  0.718
Cl  0.088  0.588  0.879
Cl  0.662  0.162  0.806
Cl  0.968  0.532  0.532
Cl  0.444  0.879  0.588
Cl  0.806  0.371  0.662
Cl  0.879  0.444  0.088
Cl  0.532  0.968  0.968
Cl  0.718  0.282  0.282
Cl  0.588  0.088  0.444
Ir  0.416  0.416  0.584
Ir  0.584  0.584  0.416
Ir  0.834  0.834  0.666
Ir  0.666  0.666  0.834

(12)
This record from the Materials Project database describes an optimized crystal structure of Mg5Si9. The functional is PBE-GGA.

Calculated values
SG = P1
Total energy after the MP2020 corrections = -3.897 eV per atom
Offset from the most stable computed form = 1.1 kJ per mole of atoms

Unit cell a=6.748 b=7.184 c=12.348 alpha=87.71 beta=100.13 gamma=114.95
Sites, in units of the cell vectors:
Si  0.930  0.242  0.844
Si  0.884  0.952  0.379
Si  0.083  0.957  0.148
Si  0.862  0.843  0.669
Si  0.740  0.760  0.206
Si  0.239  0.710  0.700
Si  0.133  0.538  0.282
Si  0.534  0.338  0.408
Si  0.171  0.221  0.300
Si  0.257  0.380  0.757
Si  0.500  0.810  0.052
Si  0.201  0.417  0.563
Si  0.046  0.784  0.842
Si  0.858  0.486  0.944
Si  0.611  0.009  0.706
Si  0.732  0.424  0.254
Si  0.098  0.065  0.965
Si  0.145  0.657  0.099
Mg  0.466  0.120  0.880
Mg  0.641  0.428  0.666
Mg  0.777  0.157  0.519
Mg  0.961  0.631  0.473
Mg  0.831  0.203  0.108
Mg  0.613  0.718  0.866
Mg  0.478  0.991  0.277
Mg  0.515  0.695  0.471
Mg  0.238  0.054  0.567
Mg  0.455  0.409  0.057

(13)
This record from the Materials Project database describes an optimized crystal structure of CaTiSiO5. The functional is PBE-GGA.

Calculated values
SG = P2_1/c
Total energy after the MP2020 corrections = -8.484 eV per atom
Offset from the most stable computed form = 0.0 kJ per mole of atoms

Unit cell a=8.773 b=6.665 c=7.142 alpha=65.87 beta=90.00 gamma=90.00
Sites, in units of the cell vectors:
Si  0.930  0.250  0.751
Si  0.070  0.750  0.249
Si  0.570  0.250  0.251
Si  0.430  0.750  0.749
O  0.681  0.750  0.250
O  0.187  0.564  0.407
O  0.687  0.064  0.408
O  0.187  0.936  0.092
O  0.464  0.349  0.385
O  0.319  0.250  0.750
O  0.037  0.151  0.617
O  0.537  0.849  0.883
O  0.687  0.436  0.093
O  0.813  0.436  0.593
O  0.964  0.651  0.115
O  0.963  0.849  0.383
O  0.313  0.564  0.907
O  0.463  0.151  0.117
O  0.313  0.936  0.592
O  0.813  0.064  0.908
O  0.181  0.250  0.250
O  0.819  0.750  0.750
O  0.036  0.349  0.885
O  0.536  0.651  0.615
Ca  0.422  0.750  0.246
Ca  0.922  0.250  0.254
Ca  0.078  0.750  0.746
Ca  0.578  0.250  0.754
Ti  0.248  0.250  0.007
Ti  0.752  0.750  0.993
Ti  0.252  0.250  0.507
Ti  0.748  0.750  0.493

Energy relative to the elements values, unit kcal/mol of atoms, following the record order: -7.82, -67.00, -15.03, -55.72, -5.79, -37.47, -9.97, -10.53, -67.41, 18.11, -22.06, 3.75, -80.16.